1.
! Na5Y2Sc2P5SO24 PBE-GGA optimized geometry; values from VASP
&SYSTEM
  ibrav = 0, nat = 117, ntyp = 6
/
ATOMIC_SPECIES
Na 22.99 Na.upf
Y 88.91 Y.upf
Sc 44.96 Sc.upf
P 30.97 P.upf
S 32.06 S.upf
O 16.00 O.upf
ATOMIC_POSITIONS angstrom
Na 0.000 0.000 0.000
Na -1.660 2.839 11.659
Na -3.146 5.393 21.221
Na -3.069 5.371 9.719
Na 1.202 2.546 1.944
Na 1.388 2.422 13.638
Na 0.045 5.174 15.485
Na 2.609 5.278 3.872
Na 4.175 2.825 0.044
Na 5.773 0.057 5.834
Na 2.931 5.000 11.730
Na 1.422 7.800 17.420
Na 4.570 2.614 7.770
Na 4.174 7.687 7.785
Na 7.134 2.559 19.337
Y 1.234 2.538 5.367
Y 1.289 2.583 10.156
Y 1.200 7.802 9.359
Y 5.827 0.047 2.288
Y 5.803 5.251 13.318
Y 5.911 5.234 6.200
Sc 1.190 2.595 21.597
Sc 1.205 2.611 17.092
Sc 1.252 7.710 20.867
Sc 5.899 0.007 14.029
Sc 5.736 5.256 17.830
Sc 5.858 5.266 1.504
P -1.504 2.585 7.856
P -0.096 0.233 19.374
P -0.121 4.917 19.295
P 2.640 0.230 7.761
P 3.073 -0.066 23.095
P -0.095 5.506 11.805
P 2.660 4.998 7.727
P 2.648 5.505 0.071
P 4.504 2.300 11.692
P 3.037 5.209 15.522
P 4.474 2.922 3.841
P 3.965 7.873 11.659
P 7.195 2.292 23.057
P 4.482 7.586 3.830
P 7.213 2.845 15.592
S -0.554 5.265 3.816
S -1.925 7.626 15.591
S 3.973 2.564 19.355
O -2.102 3.711 14.311
O -0.718 2.687 9.183
O -0.541 2.468 6.659
O 0.223 1.207 18.208
O 0.213 1.250 11.688
O 0.486 0.845 20.679
O -0.412 2.443 22.904
O 0.498 1.076 3.801
O -0.383 2.717 15.757
O -1.680 4.987 19.191
O -2.604 6.774 7.700
O -1.617 5.240 11.834
O -2.429 6.712 0.116
O -1.458 5.211 2.652
O -2.504 7.094 14.332
O -2.246 6.698 16.709
O -1.305 5.351 5.083
O 0.191 3.947 20.468
O 2.061 0.912 9.015
O 0.302 4.048 3.809
O 2.097 1.051 15.790
O 2.172 1.202 22.916
O 2.313 1.081 6.520
O 0.469 4.296 18.002
O 0.636 4.123 11.756
O 0.223 6.277 10.515
O -0.532 7.671 21.906
O -0.438 7.669 15.490
O 0.429 6.257 13.053
O 0.343 6.443 3.775
O 3.918 0.294 1.234
O 0.513 6.312 19.501
O 4.176 0.142 7.807
O 2.973 2.524 11.709
O 2.132 3.960 15.728
O 2.111 4.001 22.936
O 3.080 2.438 18.191
O 2.915 2.941 3.808
O 2.148 4.291 6.455
O 2.323 4.179 9.001
O 3.183 2.719 20.603
O 2.067 6.031 1.398
O 4.871 1.374 19.423
O 4.936 1.397 12.864
O 2.106 6.437 7.772
O 2.101 6.461 15.473
O 5.037 1.494 3.792
O 4.995 1.723 10.341
O 2.322 6.442 22.057
O 3.767 5.031 14.168
O 4.951 3.562 5.169
O 4.860 3.775 19.230
O 4.947 3.787 2.632
O 4.220 5.104 7.708
O 4.078 5.376 16.659
O 2.928 7.616 3.790
O 4.215 5.412 0.149
O 5.182 3.702 11.804
O 6.565 1.450 15.449
O 6.526 1.611 21.830
O 6.762 1.300 7.829
O 7.510 0.027 12.821
O 7.486 0.163 19.477
O 3.212 7.727 10.313
O 7.042 1.439 1.157
O 6.511 3.733 0.138
O 4.832 6.603 11.794
O 6.599 3.612 16.795
O 4.830 6.842 5.148
O 6.688 3.798 7.763
O 5.023 6.786 2.612
O 5.089 6.756 19.160
CELL_PARAMETERS angstrom
9.146 0.000 0.000
-4.570 7.931 0.000
-0.014 -0.072 23.129
! **Space group**: No. 1
! **Formation energy**: -3005 meV per atom
! **Total magnetic moment**: 0.00 μB per cell


2.
! Na3ScZnP2SO12 PBE-GGA optimized geometry; values from VASP
&SYSTEM
  ibrav = 0, nat = 120, ntyp = 6
/
ATOMIC_SPECIES
O 16.00 O.upf
S 32.06 S.upf
Na 22.99 Na.upf
P 30.97 P.upf
Sc 44.96 Sc.upf
Zn 65.41 Zn.upf
ATOMIC_POSITIONS angstrom
O 5.120 1.196 9.337
O 0.967 6.677 16.779
O 5.255 4.252 16.618
O -1.642 5.216 1.839
O 0.617 3.856 16.748
O 3.717 1.046 14.101
O 5.586 1.042 0.582
O 0.727 6.837 8.205
O 3.536 4.094 20.460
O 2.681 2.844 3.163
O 3.553 6.661 20.250
O -0.727 6.914 19.296
O 1.667 5.364 5.663
O -0.751 6.836 12.938
O 2.836 2.780 9.343
O 3.752 4.176 5.526
O -1.083 3.779 19.084
O 0.950 3.925 1.747
O 0.751 1.592 9.207
O 3.421 6.286 4.312
O 7.941 1.643 6.982
O 3.887 6.440 13.068
O 0.727 1.670 15.565
O -2.861 7.952 20.342
O 7.339 0.120 1.932
O 6.171 2.856 20.434
O -0.967 6.601 5.688
O 3.717 6.213 6.740
O 1.066 6.886 10.713
O 1.754 5.186 19.157
O -1.066 6.963 21.804
O 5.453 1.418 16.519
O 1.822 5.580 21.666
O 1.066 1.719 18.073
O -1.822 5.504 10.575
O 6.257 2.526 11.746
O 3.777 4.254 11.885
O 5.290 6.290 17.832
O 5.471 4.017 9.368
O -0.786 3.706 21.512
O -0.751 1.669 20.298
O 6.146 2.632 5.519
O -1.667 5.440 16.754
O -3.553 6.585 9.158
O 3.887 1.273 20.429
O -0.950 4.002 12.838
O -3.421 6.362 15.404
O 2.749 7.769 15.477
O 2.861 7.876 9.250
O 0.751 6.760 1.846
O -2.749 7.693 4.385
O 3.553 1.342 5.427
O 1.667 0.196 13.023
O 8.040 1.434 13.048
O 2.861 2.708 16.611
O 2.749 2.449 0.654
O 1.083 3.702 7.993
O 6.326 2.920 14.255
O 5.290 0.970 3.009
O 0.786 3.630 10.420
O -0.617 3.780 5.657
O -1.754 5.109 8.065
O 5.120 6.364 1.977
O 0.967 1.357 1.957
O 1.822 0.260 6.844
O 3.437 4.303 14.393
O 5.570 4.226 3.301
O 5.230 4.177 0.794
O 1.642 5.292 12.931
O -0.727 1.594 4.474
O 7.185 0.337 17.935
O 3.421 1.119 11.673
S -3.146 5.609 16.657
S 5.861 0.289 1.835
S 3.146 5.533 5.566
S 3.146 0.366 12.926
S -1.357 3.026 20.338
S 1.357 2.949 9.246
Na 6.142 4.968 5.432
Na -4.387 7.832 22.089
Na 4.620 2.512 7.267
Na 7.364 2.888 16.541
Na 1.638 7.628 12.843
Na 4.387 2.588 18.358
Na 1.638 2.460 20.203
Na 7.368 2.384 9.112
Na -2.861 5.472 12.861
Na -1.638 7.551 1.752
Na 6.146 0.304 20.221
Na 1.642 2.812 5.450
Na -0.117 5.095 3.586
Na 2.861 0.228 9.130
Na 2.861 5.395 1.769
Na 2.865 5.044 16.523
Na 4.387 7.755 10.998
Na 0.117 5.172 14.678
P 7.658 2.380 5.663
P 2.682 5.401 20.398
P 3.155 5.040 13.074
P 1.349 2.456 16.754
P 1.821 2.665 1.896
P 2.682 0.081 5.576
P -2.682 5.325 9.307
P 7.186 2.741 12.987
P 1.349 7.624 9.393
P 5.852 4.964 1.982
P -1.349 7.700 20.485
P 6.324 0.158 16.667
Sc 0.021 5.455 18.140
Sc -0.021 0.212 14.409
Sc -0.021 5.379 7.048
Sc 4.482 2.872 21.820
Sc 4.525 2.795 10.728
Sc 0.021 0.135 3.317
Zn -0.078 5.168 0.337
Zn 4.425 7.828 7.748
Zn 4.425 2.660 15.109
Zn 0.078 5.244 11.428
Zn 4.582 2.584 4.017
Zn -4.425 7.904 18.840
CELL_PARAMETERS angstrom
9.007 0.000 0.000
-4.503 7.827 0.051
0.000 0.153 22.183
! **Formation energy**: -2602 meV per atom
! **Total magnetic moment**: 0.00 μB per cell


3.
! Na2ScZnPS2O12 PBE-GGA optimized geometry; values from VASP
&SYSTEM
  ibrav = 0, nat = 114, ntyp = 6
/
ATOMIC_SPECIES
Na 22.99 Na.upf
Sc 44.96 Sc.upf
Zn 65.41 Zn.upf
P 30.97 P.upf
S 32.06 S.upf
O 16.00 O.upf
ATOMIC_POSITIONS angstrom
Na 7.646 4.441 11.358
Na 5.384 2.836 9.477
Na 5.094 0.057 18.933
Na 10.066 2.837 1.908
Na 5.130 -0.057 7.575
Na 12.554 1.611 5.665
Na 10.224 0.030 15.140
Na 5.348 -2.836 20.835
Na 10.260 -0.030 3.782
Na 10.030 -2.837 13.267
Na 7.682 -4.441 0.000
Na 12.518 -1.611 17.023
Sc 0.112 0.018 7.922
Sc 0.076 -0.018 19.280
Sc 5.096 0.023 15.496
Sc 5.132 -0.023 4.138
Sc 10.375 0.046 11.712
Sc 10.411 -0.046 0.354
Zn 0.021 0.018 3.364
Zn -0.015 -0.018 14.722
Zn 5.145 0.072 22.295
Zn 5.181 -0.072 10.936
Zn 10.262 0.118 7.153
Zn 10.226 -0.118 18.512
P 2.234 1.315 16.932
P 5.200 2.611 13.162
P 2.270 -1.315 5.574
P 5.236 -2.611 1.804
P 12.542 1.354 9.369
P 12.506 -1.354 20.727
S 5.479 3.135 5.624
S 2.930 1.299 1.823
S 7.738 1.837 16.970
S 2.894 -1.299 13.181
S 7.421 1.306 1.828
S 10.243 2.591 20.760
S 8.030 1.281 9.401
S 7.385 -1.306 13.186
S 7.994 -1.281 20.759
S 5.443 -3.135 16.982
S 7.774 -1.837 5.611
S 10.279 -2.591 9.401
O 6.415 3.523 13.353
O 1.600 0.658 1.973
O 1.576 0.672 18.177
O 6.288 3.372 6.858
O 3.767 1.084 3.032
O 4.909 1.719 14.427
O 3.817 1.021 9.543
O 4.973 1.585 20.924
O 3.537 0.677 0.633
O 5.361 1.758 11.892
O 5.365 1.665 5.480
O 3.683 0.681 16.840
O 1.564 -0.658 13.331
O 1.612 -0.672 6.819
O 7.619 2.776 1.959
O 7.448 2.692 18.165
O 7.876 2.779 9.274
O 9.037 3.451 20.639
O 9.146 3.387 4.292
O 7.922 2.655 15.765
O 3.501 -0.677 11.991
O 6.617 1.081 0.623
O 6.481 1.005 16.845
O 3.719 -0.681 5.482
O 6.655 0.731 9.529
O 6.798 0.713 3.033
O 3.781 -1.021 20.901
O 3.731 -1.084 14.391
O 10.019 1.780 21.997
O 8.854 1.051 10.604
O 8.914 0.981 17.155
O 10.172 1.603 5.717
O 8.625 0.689 8.194
O 10.462 1.738 19.575
O 10.428 1.677 13.058
O 8.791 0.692 1.700
O 5.009 -1.585 9.565
O 4.945 -1.719 3.068
O 6.619 -0.731 20.888
O 6.762 -0.713 14.391
O 5.329 -1.665 16.838
O 6.517 -1.005 5.486
O 5.397 -1.758 0.533
O 6.581 -1.081 11.981
O 8.589 -0.689 19.553
O 11.572 1.006 1.696
O 11.729 1.085 8.091
O 8.755 -0.692 13.059
O 11.780 0.693 17.123
O 8.950 -0.981 5.796
O 8.818 -1.051 21.962
O 11.872 0.639 10.594
O 6.252 -3.372 18.217
O 7.484 -2.692 6.807
O 7.583 -2.776 13.318
O 6.451 -3.523 1.995
O 7.958 -2.655 4.407
O 13.735 0.669 15.804
O 7.840 -2.779 20.633
O 13.925 0.608 9.254
O 10.136 -1.603 17.076
O 11.836 -0.639 21.953
O 11.816 -0.693 5.765
O 10.055 -1.780 10.639
O 11.536 -1.006 13.054
O 10.464 -1.677 1.699
O 10.498 -1.738 8.217
O 11.693 -1.085 19.449
O 13.771 -0.669 4.446
O 9.110 -3.387 15.650
O 13.889 -0.608 20.613
O 9.073 -3.451 9.281
CELL_PARAMETERS angstrom
7.682 -4.449 0.000
7.682 4.449 0.000
-0.072 0.000 22.717
! **Space group**: No. 9
! **Formation energy**: -2435 meV per atom
! **Total magnetic moment**: 0.00 μB per cell


no.,E (MP2020) (eV per cell)
1,-898.09
2,-827.68
3,-777.39